Nd4Al after structural relaxation. Source: the Materials Project database, functional PBE.

As for the total energy: -4.10 eV per atom. Its space group is Fd-3m, No. 227. The calculation puts the formation enthalpy at 0 K at 461 meV per atom.

Cell: 8.093 8.093 8.093 Å, 60.00 60.00 60.00°
Fractional positions:
Nd  0.194  0.769  0.769
Nd  0.231  0.231  0.231
Nd  0.231  0.231  0.806
Nd  0.231  0.806  0.231
Nd  0.769  0.194  0.769
Nd  0.769  0.769  0.194
Nd  0.769  0.769  0.769
Nd  0.806  0.231  0.231
Al  0.375  0.375  0.375
Al  0.625  0.625  0.625